# Na2TlHg (r²SCAN, relaxed)
# magnetic moment = 0.000 μB per formula unit
# VASP energy = -27.632 eV/atom
# DFT formation energy = -0.2128 eV per atom
data_Na2TlHg
_chemical_formula_sum 'Na8 Tl4 Hg4'
_space_group_name_H-M_alt 'F -4 3 m'
_space_group_IT_number 216
_space_group_name_Hall 'F -4 2 3'
_cell_length_a 7.346
_cell_length_b 7.346
_cell_length_c 7.346
_cell_angle_alpha 90.00
_cell_angle_beta 90.00
_cell_angle_gamma 90.00
loop_
_atom_site_label
_atom_site_type_symbol
_atom_site_fract_x
_atom_site_fract_y
_atom_site_fract_z
_atom_site_occupancy
Na1 Na 0.000 0.000 0.000 1
Na2 Na 0.250 0.250 0.250 1
Tl1 Tl 0.250 0.250 0.750 1
Hg1 Hg 0.000 0.000 0.500 1



# Sm4CuSn8 (r²SCAN, relaxed)
# magnetic moment = 0.000 μB per formula unit
# VASP energy = -25.843 eV/atom
# DFT formation energy = -0.6321 eV per atom
data_Sm4CuSn8
_chemical_formula_sum 'Sm4 Cu1 Sn8'
_space_group_name_H-M_alt 'P m m 2'
_space_group_IT_number 25
_cell_length_a 4.378
_cell_length_b 4.434
_cell_length_c 17.522
_cell_angle_alpha 90.00
_cell_angle_beta 90.00
_cell_angle_gamma 90.00
loop_
_space_group_symop_operation_xyz
'x,y,z'
'-x,-y,z'
'-x,y,z'
'x,-y,z'
loop_
_atom_site_label
_atom_site_type_symbol
_atom_site_fract_x
_atom_site_fract_y
_atom_site_fract_z
_atom_site_occupancy
Sm1 Sm 0.000 0.000 0.000 1
Sm2 Sm 0.000 0.500 0.488 1
Sm3 Sm 0.500 0.000 0.788 1
Sm4 Sm 0.500 0.500 0.287 1
Cu1 Cu 0.000 0.500 0.713 1
Sn1 Sn 0.000 0.000 0.327 1
Sn2 Sn 0.000 0.000 0.630 1
Sn3 Sn 0.000 0.500 0.141 1
Sn4 Sn 0.000 0.500 0.855 1
Sn5 Sn 0.500 0.000 0.147 1
Sn6 Sn 0.500 0.000 0.439 1
Sn7 Sn 0.500 0.500 0.630 1
Sn8 Sn 0.500 0.500 0.963 1



# TlV5S8 (r²SCAN, relaxed)
# magnetic moment = 5.998 μB per formula unit
# VASP energy = -14.551 eV/atom
# DFT formation energy = -1.1294 eV per atom
data_TlV5S8
_chemical_formula_sum 'Tl2 V10 S16'
_space_group_name_H-M_alt 'C 1 2 1'
_space_group_IT_number 5
_cell_length_a 17.979
_cell_length_b 3.459
_cell_length_c 8.568
_cell_angle_alpha 90.00
_cell_angle_beta 105.34
_cell_angle_gamma 90.00
loop_
_space_group_symop_operation_xyz
'x,y,z'
'-x,y,-z'
'x+1/2,y+1/2,z'
'-x+1/2,y+1/2,-z'
loop_
_atom_site_label
_atom_site_type_symbol
_atom_site_fract_x
_atom_site_fract_y
_atom_site_fract_z
_atom_site_occupancy
Tl1 Tl 0.000 0.000 0.000 1
V1 V 0.000 0.493 0.500 1
V2 V 0.154 0.994 0.477 1
V3 V 0.211 0.993 0.849 1
S1 S 0.076 0.993 0.663 1
S2 S 0.083 0.494 0.316 1
S3 S 0.164 0.493 0.991 1
S4 S 0.238 0.493 0.658 1



# Li2BiO3 (r²SCAN, relaxed)
# magnetic moment = 0.000 μB per formula unit
# VASP energy = -15.163 eV/atom
# DFT formation energy = -1.6304 eV per atom
data_Li2BiO3
_chemical_formula_sum 'Li4 Bi2 O6'
_space_group_name_H-M_alt 'C m m m'
_space_group_IT_number 65
_space_group_name_Hall '-C 2 2'
_cell_length_a 4.387
_cell_length_b 9.740
_cell_length_c 3.429
_cell_angle_alpha 90.00
_cell_angle_beta 90.00
_cell_angle_gamma 90.00
loop_
_atom_site_label
_atom_site_type_symbol
_atom_site_fract_x
_atom_site_fract_y
_atom_site_fract_z
_atom_site_occupancy
Li1 Li 0.000 0.156 0.000 1
Bi1 Bi 0.000 0.500 0.500 1
O1 O 0.000 0.000 0.500 1
O2 O 0.000 0.352 0.000 1



What did the third record say?
# TlV5S8 (r²SCAN, relaxed)
# magnetic moment = 5.998 μB per formula unit
# VASP energy = -14.551 eV/atom
# DFT formation energy = -1.1294 eV per atom
data_TlV5S8
_chemical_formula_sum 'Tl2 V10 S16'
_space_group_name_H-M_alt 'C 1 2 1'
_space_group_IT_number 5
_cell_length_a 17.979
_cell_length_b 3.459
_cell_length_c 8.568
_cell_angle_alpha 90.00
_cell_angle_beta 105.34
_cell_angle_gamma 90.00
loop_
_space_group_symop_operation_xyz
'x,y,z'
'-x,y,-z'
'x+1/2,y+1/2,z'
'-x+1/2,y+1/2,-z'
loop_
_atom_site_label
_atom_site_type_symbol
_atom_site_fract_x
_atom_site_fract_y
_atom_site_fract_z
_atom_site_occupancy
Tl1 Tl 0.000 0.000 0.000 1
V1 V 0.000 0.493 0.500 1
V2 V 0.154 0.994 0.477 1
V3 V 0.211 0.993 0.849 1
S1 S 0.076 0.993 0.663 1
S2 S 0.083 0.494 0.316 1
S3 S 0.164 0.493 0.991 1
S4 S 0.238 0.493 0.658 1



- What is the formula in the third record?
  TlV5S8



Copy entry 2 word for word.
# Sm4CuSn8 (r²SCAN, relaxed)
# magnetic moment = 0.000 μB per formula unit
# VASP energy = -25.843 eV/atom
# DFT formation energy = -0.6321 eV per atom
data_Sm4CuSn8
_chemical_formula_sum 'Sm4 Cu1 Sn8'
_space_group_name_H-M_alt 'P m m 2'
_space_group_IT_number 25
_cell_length_a 4.378
_cell_length_b 4.434
_cell_length_c 17.522
_cell_angle_alpha 90.00
_cell_angle_beta 90.00
_cell_angle_gamma 90.00
loop_
_space_group_symop_operation_xyz
'x,y,z'
'-x,-y,z'
'-x,y,z'
'x,-y,z'
loop_
_atom_site_label
_atom_site_type_symbol
_atom_site_fract_x
_atom_site_fract_y
_atom_site_fract_z
_atom_site_occupancy
Sm1 Sm 0.000 0.000 0.000 1
Sm2 Sm 0.000 0.500 0.488 1
Sm3 Sm 0.500 0.000 0.788 1
Sm4 Sm 0.500 0.500 0.287 1
Cu1 Cu 0.000 0.500 0.713 1
Sn1 Sn 0.000 0.000 0.327 1
Sn2 Sn 0.000 0.000 0.630 1
Sn3 Sn 0.000 0.500 0.141 1
Sn4 Sn 0.000 0.500 0.855 1
Sn5 Sn 0.500 0.000 0.147 1
Sn6 Sn 0.500 0.000 0.439 1
Sn7 Sn 0.500 0.500 0.630 1
Sn8 Sn 0.500 0.500 0.963 1



- What is the formula in the fourth record?
  Li2BiO3